Record 1
DFT (PBE+U) results for MgFe6O10F2 after structural relaxation.

Output
As for the space group: P1, No. 1. Its crystal system is triclinic. As for the offset from the most stable computed form: 73 meV per atom.

Cell lengths 5.1144, 5.1663, 8.9146 Å; angles 90.03, 90.03, 102.32 degrees
Element x y z (fractional)
Mg1 0.0000 0.0000 0.0000
Fe1 0.4827 0.9005 0.9988
Fe2 0.5023 0.9151 0.3399
Fe3 0.5027 0.9147 0.6580
Fe4 0.9001 0.4988 0.1734
Fe5 0.9004 0.4989 0.8249
Fe6 0.9208 0.5075 0.4992
O1 0.1315 0.6571 0.9993
O2 0.1602 0.6403 0.6734
O3 0.1596 0.6410 0.3251
O4 0.3354 0.0605 0.4991
O5 0.6800 0.7514 0.4988
O6 0.6880 0.7837 0.1596
O7 0.6879 0.7837 0.8383
O8 0.7549 0.2669 0.6679
O9 0.7561 0.2663 0.3302
O10 0.7709 0.2572 0.9991
F1 0.2896 0.0995 0.8483
F2 0.2909 0.0994 0.1507

Record 2
DFT (PBE+U) results for MgFe6O10F2 after structural relaxation.

Output
As for the space group: P1, No. 1. Its crystal system is triclinic. As for the offset from the most stable computed form: 50 meV per atom.

Cell lengths 5.0851, 5.1239, 8.7364 Å; angles 90.01, 90.04, 100.54 degrees
Element x y z (fractional)
Mg1 0.0000 0.0000 0.0000
Fe1 0.0909 0.4996 0.1754
Fe2 0.0944 0.4980 0.8138
Fe3 0.5167 0.0976 0.0013
Fe4 0.5239 0.0588 0.6591
Fe5 0.5319 0.0493 0.3251
Fe6 0.9446 0.6330 0.4943
O1 0.2134 0.7501 0.3323
O2 0.2200 0.7464 0.6595
O3 0.2283 0.7313 0.9905
O4 0.2966 0.2133 0.1576
O5 0.3158 0.2119 0.8327
O6 0.6972 0.9200 0.1480
O7 0.7030 0.8908 0.4971
O8 0.8147 0.3831 0.3278
O9 0.8226 0.3773 0.6633
O10 0.8623 0.3500 0.9871
F1 0.3497 0.2229 0.4934
F2 0.7197 0.8993 0.8330

Record 3
DFT (PBE+U) results for MgFe6O10F2 after structural relaxation.

Output
As for the space group: P1, No. 1. Its crystal system is triclinic. As for the offset from the most stable computed form: 28 meV per atom.

Cell lengths 5.1224, 5.6967, 7.5895 Å; angles 81.44, 87.37, 85.34 degrees
Element x y z (fractional)
Mg1 0.0000 0.0000 0.0000
Fe1 0.0079 0.6141 0.8090
Fe2 0.4664 0.1126 0.8059
Fe3 0.5296 0.8740 0.1914
Fe4 0.5359 0.5246 0.5194
Fe5 0.9629 0.3678 0.1867
Fe6 0.9895 0.9896 0.5049
O1 0.1574 0.9447 0.7507
O2 0.3240 0.4475 0.7288
O3 0.3240 0.8116 0.4091
O4 0.3251 0.1281 0.0687
O5 0.6728 0.5554 0.2765
O6 0.6795 0.8551 0.9501
O7 0.6863 0.2026 0.5922
O8 0.8104 0.7045 0.5999
O9 0.8422 0.0401 0.2578
O10 0.8678 0.3478 0.9475
F1 0.1562 0.6550 0.0736
F2 0.1659 0.3006 0.4053

Record 4
DFT (PBE+U) results for MgFe6O7F5 after structural relaxation.

Output
As for the space group: P1, No. 1. Its crystal system is triclinic. As for the offset from the most stable computed form: 14 meV per atom.

Cell lengths 5.7760, 5.9808, 7.7610 Å; angles 106.86, 97.45, 113.53 degrees
Element x y z (fractional)
Mg1 0.0000 0.0000 0.0000
Fe1 0.3014 0.5305 0.3431
Fe2 0.3520 0.8994 0.7772
Fe3 0.6212 0.0485 0.1946
Fe4 0.6846 0.5088 0.6462
Fe5 0.9616 0.0553 0.5207
Fe6 0.9789 0.4754 0.9676
O1 0.0130 0.1706 0.2826
O2 0.2615 0.8467 0.0102
O3 0.4138 0.6348 0.6122
O4 0.5831 0.8327 0.3353
O5 0.7094 0.1268 0.9631
O6 0.9126 0.3570 0.7026
O7 0.9827 0.8541 0.7058
F1 0.0347 0.6322 0.2546
F2 0.2518 0.3635 0.0402
F3 0.3838 0.1595 0.6382
F4 0.5760 0.3502 0.3605
F5 0.7235 0.6311 0.9377

Per-record formation energy, eV per formula unit: -32.27; -32.71; -33.14; -39.00
Per-record MP2020-corrected energy, eV/atom: -7.263; -7.286; -7.309; -7.138